1.
# ZnCu2SnSe4 | the Materials Project database | PBE | relaxed
data_ZnCu2SnSe4
_chemical_formula_sum 'Zn2 Cu4 Sn2 Se8'
_cell_length_a 5.7713
_cell_length_b 5.7713
_cell_length_c 11.4797
_cell_angle_alpha 90.00
_cell_angle_beta 90.00
_cell_angle_gamma 90.00
_symmetry_space_group_name_H-M 'I -4'
_symmetry_Int_Tables_number 82
loop_
_symmetry_equiv_pos_as_xyz
'x,y,z'
'y,-x,-z'
'-x,-y,z'
'-y,x,-z'
'x+1/2,y+1/2,z+1/2'
'y+1/2,-x+1/2,-z+1/2'
'-x+1/2,-y+1/2,z+1/2'
'-y+1/2,x+1/2,-z+1/2'
loop_
_atom_site_label
_atom_site_type_symbol
_atom_site_fract_x
_atom_site_fract_y
_atom_site_fract_z
Zn1 Zn 0.0000 0.0000 0.0000
Cu1 Cu 0.0000 0.0000 0.5000
Cu2 Cu 0.0000 0.5000 0.7500
Sn1 Sn 0.0000 0.5000 0.2500
Se1 Se 0.2335 0.7403 0.6200
# Distance to the lowest polymorph of the same formula (meV per atom): 0
# Formation energy (eV per atom): -0.63

---

2.
# ZnCu2SnSe4 | the Materials Project database | PBE | relaxed
data_ZnCu2SnSe4
_chemical_formula_sum 'Zn2 Cu4 Sn2 Se8'
_cell_length_a 5.7577
_cell_length_b 5.7577
_cell_length_c 11.5208
_cell_angle_alpha 90.00
_cell_angle_beta 90.00
_cell_angle_gamma 90.00
_symmetry_space_group_name_H-M 'I -4 2 m'
_symmetry_Int_Tables_number 121
_symmetry_space_group_name_Hall 'I -4 2'
loop_
_atom_site_label
_atom_site_type_symbol
_atom_site_fract_x
_atom_site_fract_y
_atom_site_fract_z
Zn1 Zn 0.0000 0.0000 0.0000
Cu1 Cu 0.0000 0.5000 0.2500
Sn1 Sn 0.0000 0.0000 0.5000
Se1 Se 0.2409 0.2409 0.8648
# Distance to the lowest polymorph of the same formula (meV per atom): 3
# Formation energy (eV per atom): -0.63

---

> What is the distance to the lowest polymorph of the same formula in the second record?

3 meV per atom

---

> distance to the lowest polymorph of the same formula of number 1 (ZnCu2SnSe4)?

0 meV per atom

---

> Which value of formation energy does entry 2 give?

-0.63 eV per atom

---

> Look up the formation energy of the first one.

-0.63 eV per atom